Here is a geometry-optimized Ba3Ge9O22 structure from the Materials Project. Energies are from PBE.

Cell lengths 4.800, 13.488, 15.450 Å; angles 73.16, 90.00, 90.00 degrees
Fractional positions:
O 0.375 0.070 0.584
O 0.818 0.256 0.323
O 0.365 0.313 0.015
O 0.252 0.043 0.774
O 0.272 0.564 0.860
O 0.788 0.271 0.773
O 0.671 0.189 0.984
O 0.236 0.810 0.137
O 0.671 0.811 0.016
O 0.388 0.576 0.271
O 0.793 0.860 0.325
O 0.673 0.923 0.733
O 0.816 0.311 0.136
O 0.275 0.643 0.674
O 0.365 0.687 0.985
O 0.818 0.744 0.677
O 0.236 0.190 0.863
O 0.398 0.870 0.582
O 0.275 0.357 0.326
O 0.672 0.630 0.419
O 0.782 0.935 0.139
O 0.788 0.729 0.227
O 0.375 0.930 0.416
O 0.687 0.500 0.000
O 0.398 0.130 0.418
O 0.273 0.771 0.776
O 0.252 0.957 0.226
O 0.793 0.140 0.675
O 0.388 0.424 0.729
O 0.250 0.759 0.325
O 0.221 0.500 0.500
O 0.673 0.077 0.267
O 0.272 0.436 0.140
O 0.363 0.000 0.000
O 0.816 0.689 0.864
O 0.698 0.430 0.417
O 0.250 0.241 0.675
O 0.782 0.065 0.861
O 0.273 0.229 0.224
O 0.810 0.456 0.228
O 0.672 0.370 0.581
O 0.810 0.544 0.772
O 0.698 0.570 0.583
O 0.852 0.000 0.500
Ge 0.529 0.613 0.919
Ge 0.526 0.680 0.309
Ge 0.534 0.819 0.693
Ge 0.468 0.000 0.500
Ge 0.534 0.181 0.307
Ge 0.519 0.050 0.693
Ge 0.019 0.159 0.769
Ge 0.042 0.341 0.230
Ge 0.526 0.320 0.691
Ge 0.602 0.500 0.500
Ge 0.544 0.551 0.691
Ge 0.019 0.841 0.231
Ge 0.519 0.950 0.307
Ge 0.544 0.449 0.309
Ge 0.520 0.113 0.919
Ge 0.520 0.887 0.081
Ge 0.529 0.387 0.081
Ge 0.042 0.659 0.770
Ba 0.051 0.870 0.887
Ba 0.051 0.130 0.113
Ba 0.989 0.629 0.115
Ba 0.024 0.244 0.499
Ba 0.024 0.756 0.501
Ba 0.989 0.371 0.885

E_tot (Ha/atom): -0.236
Symmetry: P2 (3)
Total moment (μB/cell): 4.00
Crystal system: monoclinic
Mass density (Mg/m³): 4.92
Energy of formation (eV/atom): -2.28